[1]
The following is a DFT calculation (PBE) of an optimized crystal structure of Ce2H16S3O20.

Unit cell a=7.496 b=7.496 c=20.906 alpha=96.43 beta=96.43 gamma=63.58
Positions (direct):
1 Ce 0.107 0.268 0.409
2 Ce 0.268 0.107 0.909
3 Ce 0.732 0.893 0.091
4 Ce 0.893 0.732 0.591
5 H 0.136 0.490 0.003
6 H 0.140 0.790 0.942
7 H 0.174 0.423 0.226
8 H 0.185 0.459 0.196
9 H 0.210 0.860 0.558
10 H 0.223 0.659 0.521
11 H 0.308 0.380 0.332
12 H 0.341 0.777 0.979
13 H 0.379 0.618 0.347
14 H 0.380 0.308 0.832
15 H 0.382 0.621 0.153
16 H 0.423 0.174 0.726
17 H 0.429 0.552 0.880
18 H 0.448 0.571 0.620
19 H 0.459 0.185 0.696
20 H 0.490 0.136 0.503
21 H 0.510 0.864 0.497
22 H 0.541 0.815 0.304
23 H 0.552 0.429 0.380
24 H 0.571 0.448 0.120
25 H 0.577 0.826 0.274
26 H 0.618 0.379 0.847
27 H 0.620 0.692 0.168
28 H 0.621 0.382 0.653
29 H 0.659 0.223 0.021
30 H 0.692 0.620 0.668
31 H 0.777 0.341 0.479
32 H 0.790 0.140 0.442
33 H 0.815 0.541 0.804
34 H 0.826 0.577 0.774
35 H 0.860 0.210 0.058
36 H 0.864 0.510 0.997
37 S 0.043 0.270 0.579
38 S 0.237 0.763 0.750
39 S 0.270 0.043 0.079
40 S 0.730 0.957 0.921
41 S 0.763 0.237 0.250
42 S 0.957 0.730 0.421
43 O 0.004 0.598 0.070
44 O 0.007 0.815 0.371
45 O 0.085 0.809 0.697
46 O 0.117 0.142 0.026
47 O 0.142 0.117 0.526
48 O 0.147 0.566 0.454
49 O 0.162 0.383 0.603
50 O 0.165 0.442 0.956
51 O 0.185 0.993 0.129
52 O 0.191 0.915 0.803
53 O 0.212 0.317 0.332
54 O 0.223 0.726 0.565
55 O 0.274 0.777 0.935
56 O 0.317 0.212 0.832
57 O 0.383 0.162 0.103
58 O 0.402 0.996 0.430
59 O 0.434 0.853 0.046
60 O 0.442 0.165 0.456
61 O 0.461 0.475 0.341
62 O 0.475 0.461 0.841
63 O 0.525 0.539 0.159
64 O 0.539 0.525 0.659
65 O 0.558 0.835 0.544
66 O 0.566 0.147 0.954
67 O 0.598 0.004 0.570
68 O 0.617 0.838 0.897
69 O 0.683 0.788 0.168
70 O 0.726 0.223 0.065
71 O 0.777 0.274 0.435
72 O 0.788 0.683 0.668
73 O 0.809 0.085 0.197
74 O 0.815 0.007 0.871
75 O 0.835 0.558 0.044
76 O 0.838 0.617 0.397
77 O 0.853 0.434 0.546
78 O 0.858 0.883 0.474
79 O 0.883 0.858 0.974
80 O 0.915 0.191 0.303
81 O 0.993 0.185 0.629
82 O 0.996 0.402 0.930

Values from the calculation:
E_form, eV/atom: -1.52

---

[2]
The following is a DFT calculation (PBE) of an optimized crystal structure of CeHSO5.

Unit cell a=4.557 b=12.655 c=7.180 alpha=90.00 beta=111.14 gamma=90.00
Positions (direct):
1 Ce 0.162 0.064 0.302
2 Ce 0.162 0.436 0.802
3 Ce 0.838 0.564 0.198
4 Ce 0.838 0.936 0.698
5 H 0.213 0.654 0.976
6 H 0.213 0.846 0.476
7 H 0.787 0.154 0.524
8 H 0.787 0.346 0.024
9 S 0.404 0.146 0.888
10 S 0.404 0.354 0.388
11 S 0.596 0.646 0.612
12 S 0.596 0.854 0.112
13 O 0.195 0.071 0.948
14 O 0.195 0.429 0.448
15 O 0.231 0.246 0.820
16 O 0.231 0.254 0.320
17 O 0.237 0.584 0.041
18 O 0.237 0.916 0.541
19 O 0.307 0.665 0.439
20 O 0.307 0.835 0.939
21 O 0.471 0.097 0.719
22 O 0.471 0.403 0.219
23 O 0.529 0.597 0.781
24 O 0.529 0.903 0.281
25 O 0.693 0.165 0.061
26 O 0.693 0.335 0.561
27 O 0.763 0.084 0.459
28 O 0.763 0.416 0.959
29 O 0.769 0.746 0.680
30 O 0.769 0.754 0.180
31 O 0.805 0.571 0.552
32 O 0.805 0.929 0.052

Values from the calculation:
E_form, eV/atom: -2.48

---

[3]
The following is a DFT calculation (PBE) of an optimized crystal structure of Ce2Si2HRu.

Unit cell a=2.740 b=2.740 c=14.700 alpha=90.00 beta=90.00 gamma=90.00
Positions (direct):
1 Ce 0.000 0.000 0.142
2 Ce 0.000 0.000 0.858
3 Si 0.000 0.000 0.341
4 Si 0.000 0.000 0.659
5 H 0.000 0.000 0.000
6 Ru 0.000 0.000 0.500

Values from the calculation:
E_form, eV/atom: 0.59

---

[4]
The following is a DFT calculation (PBE) of an optimized crystal structure of CeHSe.

Unit cell a=4.002 b=4.002 c=7.908 alpha=90.00 beta=90.00 gamma=120.00
Positions (direct):
1 Ce 0.333 0.667 0.250
2 Ce 0.667 0.333 0.750
3 H 0.333 0.667 0.750
4 H 0.667 0.333 0.250
5 Se 0.000 0.000 0.000
6 Se 0.000 0.000 0.500

Values from the calculation:
E_form, eV/atom: -1.52

---

[5]
The following is a DFT calculation (PBE) of an optimized crystal structure of Ce2Zn2Sn2H3.

Unit cell a=4.403 b=4.403 c=17.990 alpha=90.00 beta=90.00 gamma=120.00
Positions (direct):
1 Ce 0.000 0.000 0.000
2 Ce 0.000 0.000 0.249
3 Ce 0.000 0.000 0.500
4 Ce 0.000 0.000 0.749
5 Zn 0.333 0.667 0.132
6 Zn 0.333 0.667 0.866
7 Zn 0.667 0.333 0.366
8 Zn 0.667 0.333 0.632
9 Sn 0.333 0.667 0.388
10 Sn 0.333 0.667 0.613
11 Sn 0.667 0.333 0.113
12 Sn 0.667 0.333 0.888
13 H 0.333 0.667 0.003
14 H 0.333 0.667 0.236
15 H 0.333 0.667 0.764
16 H 0.667 0.333 0.264
17 H 0.667 0.333 0.503
18 H 0.667 0.333 0.736

Values from the calculation:
E_form, eV/atom: -0.45

---

[6]
The following is a DFT calculation (PBE) of an optimized crystal structure of KLaCeHfO6.

Unit cell a=8.433 b=8.510 c=8.555 alpha=90.00 beta=90.00 gamma=90.00
Positions (direct):
1 K 0.250 0.250 0.250
2 K 0.250 0.750 0.750
3 K 0.750 0.250 0.250
4 K 0.750 0.750 0.750
5 La 0.250 0.250 0.750
6 La 0.250 0.750 0.250
7 La 0.750 0.250 0.750
8 La 0.750 0.750 0.250
9 Ce 0.000 0.000 0.000
10 Ce 0.000 0.500 0.500
11 Ce 0.500 0.000 0.500
12 Ce 0.500 0.500 0.000
13 Hf 0.000 0.000 0.500
14 Hf 0.000 0.500 0.000
15 Hf 0.500 0.000 0.000
16 Hf 0.500 0.500 0.500
17 O 0.032 0.058 0.739
18 O 0.032 0.442 0.761
19 O 0.039 0.742 0.987
20 O 0.039 0.758 0.513
21 O 0.241 0.025 0.465
22 O 0.241 0.475 0.035
23 O 0.259 0.025 0.035
24 O 0.259 0.475 0.465
25 O 0.461 0.742 0.513
26 O 0.461 0.758 0.987
27 O 0.468 0.058 0.761
28 O 0.468 0.442 0.739
29 O 0.532 0.558 0.261
30 O 0.532 0.942 0.239
31 O 0.539 0.242 0.013
32 O 0.539 0.258 0.487
33 O 0.741 0.525 0.535
34 O 0.741 0.975 0.965
35 O 0.759 0.525 0.965
36 O 0.759 0.975 0.535
37 O 0.961 0.242 0.487
38 O 0.961 0.258 0.013
39 O 0.968 0.558 0.239
40 O 0.968 0.942 0.261

Values from the calculation:
E_form, eV/atom: -3.54

---

[7]
The following is a DFT calculation (PBE) of an optimized crystal structure of KLaCeHfO6.

Unit cell a=6.048 b=6.048 c=6.048 alpha=60.00 beta=60.00 gamma=60.00
Positions (direct):
1 K 0.000 0.000 0.000
2 La 0.500 0.500 0.500
3 Ce 0.750 0.750 0.750
4 Hf 0.250 0.250 0.250
5 O 0.008 0.008 0.492
6 O 0.008 0.492 0.008
7 O 0.008 0.492 0.492
8 O 0.492 0.008 0.008
9 O 0.492 0.008 0.492
10 O 0.492 0.492 0.008

Values from the calculation:
E_form, eV/atom: -3.43

---

[8]
The following is a DFT calculation (PBE) of an optimized crystal structure of KCeHf4O12.

Unit cell a=8.170 b=5.749 c=5.749 alpha=89.25 beta=90.00 gamma=90.00
Positions (direct):
1 K 0.000 0.000 0.000
2 Ce 0.500 0.491 0.491
3 Hf 0.247 0.497 0.993
4 Hf 0.247 0.993 0.497
5 Hf 0.753 0.497 0.993
6 Hf 0.753 0.993 0.497
7 O 0.000 0.007 0.468
8 O 0.000 0.468 0.007
9 O 0.230 0.784 0.784
10 O 0.289 0.284 0.706
11 O 0.289 0.706 0.284
12 O 0.314 0.250 0.250
13 O 0.500 0.542 0.904
14 O 0.500 0.904 0.542
15 O 0.686 0.250 0.250
16 O 0.711 0.284 0.706
17 O 0.711 0.706 0.284
18 O 0.770 0.784 0.784

Values from the calculation:
E_form, eV/atom: -3.29

---

[9]
The following is a DFT calculation (PBE) of an optimized crystal structure of KCeHf2O6.

Unit cell a=5.831 b=5.831 c=5.831 alpha=60.00 beta=60.00 gamma=60.00
Positions (direct):
1 K 0.000 0.000 0.000
2 Ce 0.500 0.500 0.500
3 Hf 0.250 0.250 0.250
4 Hf 0.750 0.750 0.750
5 O 0.000 0.000 0.500
6 O 0.000 0.500 0.000
7 O 0.000 0.500 0.500
8 O 0.500 0.000 0.000
9 O 0.500 0.000 0.500
10 O 0.500 0.500 0.000

Values from the calculation:
E_form, eV/atom: -3.54

---

[10]
The following is a DFT calculation (PBE) of an optimized crystal structure of KCeHfSnO6.

Unit cell a=5.808 b=5.808 c=5.808 alpha=60.00 beta=60.00 gamma=60.00
Positions (direct):
1 K 0.000 0.000 0.000
2 Ce 0.500 0.500 0.500
3 Hf 0.250 0.250 0.250
4 Sn 0.750 0.750 0.750
5 O 0.000 0.000 0.500
6 O 0.000 0.500 0.000
7 O 0.000 0.500 0.500
8 O 0.500 0.000 0.000
9 O 0.500 0.000 0.500
10 O 0.500 0.500 0.000

Values from the calculation:
E_form, eV/atom: -2.96

---

[11]
The following is a DFT calculation (PBE) of an optimized crystal structure of CeHfMg6.

Unit cell a=5.204 b=6.115 c=11.997 alpha=90.00 beta=90.00 gamma=90.00
Positions (direct):
1 Ce 0.500 0.000 0.175
2 Ce 0.500 0.500 0.675
3 Mg 0.000 0.756 0.577
4 Mg 0.000 0.500 0.319
5 Mg 0.500 0.751 0.923
6 Mg 0.000 0.500 0.837
7 Mg 0.500 0.249 0.923
8 Mg 0.500 0.251 0.423
9 Mg 0.000 0.744 0.077
10 Mg 0.000 0.256 0.077
11 Mg 0.500 0.749 0.423
12 Mg 0.000 0.000 0.337
13 Mg 0.000 0.244 0.577
14 Mg 0.000 0.000 0.819
15 Hf 0.500 0.500 0.168
16 Hf 0.500 0.000 0.668

Values from the calculation:
E_form, eV/atom: 0.14

---

[12]
The following is a DFT calculation (PBE) of an optimized crystal structure of CeHfMg6.

Unit cell a=5.060 b=6.505 c=11.537 alpha=90.00 beta=90.00 gamma=90.00
Positions (direct):
1 Mg 0.500 0.244 0.426
2 Mg 0.500 0.000 0.171
3 Mg 0.500 0.500 0.671
4 Mg 0.500 0.256 0.926
5 Mg 0.000 0.239 0.575
6 Mg 0.000 0.761 0.575
7 Mg 0.000 0.000 0.329
8 Mg 0.500 0.744 0.926
9 Mg 0.000 0.261 0.075
10 Mg 0.500 0.756 0.426
11 Mg 0.000 0.500 0.829
12 Mg 0.000 0.739 0.075
13 Ce 0.000 0.500 0.312
14 Ce 0.000 0.000 0.812
15 Hf 0.500 0.000 0.686
16 Hf 0.500 0.500 0.186

Values from the calculation:
E_form, eV/atom: 0.14